No. 1
Computed, not measured: a relaxed structure of Na5TiAl3Si3S3O24 at the PBE level of DFT.

```
Na5TiAl3Si3S3O24
1.0
8.675 0.000 0.000
4.311 7.539 0.000
0.301 0.037 21.882
Na Ti Al Si S O
15 3 9 9 9 72
Cartesian
0.000 0.000 0.000 Na
8.860 0.085 10.916 Na
2.992 0.372 12.751 Na
5.593 5.023 1.863 Na
4.361 2.644 3.627 Na
4.485 2.600 14.644 Na
7.503 7.330 19.958 Na
6.211 5.269 8.994 Na
7.227 2.851 5.401 Na
8.827 5.198 7.218 Na
9.024 5.191 18.185 Na
7.404 2.344 12.639 Na
6.099 0.234 1.693 Na
7.825 2.596 20.089 Na
10.043 2.517 9.182 Na
0.334 0.043 7.714 Ti
4.712 7.430 18.628 Ti
4.569 2.661 0.445 Ti
4.383 7.460 3.117 Al
0.422 0.193 14.225 Al
4.468 2.514 11.256 Al
4.631 2.550 6.857 Al
4.726 2.409 17.808 Al
8.737 5.017 3.964 Al
8.849 4.992 10.435 Al
9.030 5.078 15.036 Al
9.141 5.066 21.413 Al
5.762 5.357 5.356 Si
2.959 0.061 16.310 Si
5.976 4.704 19.928 Si
3.453 0.367 9.073 Si
7.006 2.528 9.121 Si
5.959 0.328 20.020 Si
7.675 2.855 1.801 Si
11.196 5.024 1.822 Si
10.227 2.970 12.740 Si
3.397 5.421 16.303 S
1.480 2.222 5.396 S
3.280 4.716 9.087 S
2.231 2.615 19.993 S
6.387 5.077 12.744 S
7.500 7.230 1.812 S
10.205 7.199 12.734 S
7.733 2.261 16.344 S
10.629 7.542 5.424 S
1.333 1.404 19.865 O
3.971 6.117 15.125 O
3.901 6.065 8.967 O
1.174 1.376 4.246 O
3.459 3.884 7.888 O
3.037 2.815 18.774 O
3.516 3.699 1.668 O
3.044 2.329 21.187 O
3.178 2.727 12.573 O
3.953 4.131 10.281 O
4.034 4.105 16.456 O
5.321 6.235 19.875 O
2.929 2.353 5.572 O
1.753 0.168 8.911 O
5.099 6.126 4.102 O
1.977 0.266 15.022 O
5.512 6.280 12.882 O
5.458 6.300 6.723 O
6.033 7.378 1.969 O
6.249 7.367 17.639 O
3.477 1.301 10.407 O
5.311 4.137 21.338 O
3.805 1.437 16.538 O
5.094 3.864 5.587 O
3.808 1.026 1.679 O
5.562 3.853 12.595 O
3.957 1.136 7.762 O
5.643 3.738 18.690 O
7.197 5.360 11.511 O
7.654 6.404 0.580 O
7.272 4.849 13.905 O
8.158 6.621 2.983 O
7.406 5.207 5.284 O
5.191 1.008 18.775 O
8.155 6.232 16.139 O
6.129 2.873 7.799 O
5.983 2.665 1.684 O
7.576 4.896 20.147 O
5.292 1.042 12.637 O
8.322 6.393 9.309 O
6.107 2.374 10.473 O
6.263 2.396 16.446 O
5.483 1.245 5.543 O
5.746 1.305 21.348 O
7.722 3.812 3.112 O
9.552 6.613 13.933 O
9.587 6.417 20.210 O
8.020 3.838 9.243 O
9.776 6.357 5.294 O
8.361 3.594 16.184 O
9.947 6.408 11.524 O
8.183 3.544 0.427 O
7.148 0.279 4.210 O
7.948 1.399 15.126 O
7.596 0.314 19.811 O
8.336 1.646 17.542 O
8.006 1.221 8.922 O
11.495 7.374 6.618 O
10.291 5.379 0.528 O
9.491 3.594 11.407 O
11.681 7.372 12.898 O
10.598 5.290 16.207 O
9.487 3.554 5.334 O
8.244 1.343 2.027 O
9.876 3.890 14.016 O
10.304 4.872 3.151 O
10.018 3.791 20.111 O
10.497 4.871 9.259 O
12.281 6.251 17.543 O
9.515 1.632 6.661 O
9.514 1.429 12.881 O
12.242 6.319 1.930 O
```

Summary:
- Electronic total energy: -6.6751 eV per atom
- DFT formation energy: -2657 meV/atom
- Symmetry: P1

No. 2
Computed, not measured: a relaxed structure of Na4Ti2Al2Si3S3O24 at the PBE level of DFT.

```
Na4Ti2Al2Si3S3O24
1.0
8.684 0.000 0.000
4.324 7.580 0.000
0.001 0.511 22.122
Na Ti Al Si S O
12 6 6 9 9 72
Cartesian
0.000 0.000 0.000 Na
4.337 7.809 10.929 Na
3.140 5.078 1.864 Na
5.562 5.323 12.767 Na
4.306 2.593 3.653 Na
4.391 2.810 14.542 Na
3.205 0.383 16.399 Na
9.881 7.661 5.564 Na
8.749 5.271 7.376 Na
8.762 5.428 18.342 Na
7.502 2.729 9.279 Na
9.887 3.008 20.229 Na
0.148 0.508 14.149 Ti
4.229 3.049 17.955 Ti
4.401 2.780 7.015 Ti
8.553 5.399 10.556 Ti
8.891 5.546 21.739 Ti
12.987 7.640 3.186 Ti
4.233 7.530 7.848 Al
4.326 2.569 0.487 Al
4.553 2.665 11.457 Al
8.730 5.272 14.977 Al
8.911 5.146 4.036 Al
12.968 7.993 18.771 Al
3.094 5.459 5.524 Si
3.199 5.283 20.299 Si
5.544 4.967 9.279 Si
7.564 7.594 12.945 Si
5.656 0.534 9.169 Si
9.888 7.384 1.855 Si
7.431 3.205 12.858 Si
9.993 2.860 1.867 Si
9.854 2.644 16.605 Si
1.883 2.716 9.210 S
6.827 7.671 5.509 S
5.618 5.779 16.591 S
3.116 0.782 20.251 S
6.263 5.076 1.827 S
6.839 2.980 20.250 S
7.512 2.363 5.492 S
10.555 7.954 16.581 S
11.198 5.343 12.895 S
3.827 6.736 19.999 O
1.011 1.534 9.008 O
3.753 6.163 4.160 O
1.054 1.573 15.349 O
2.722 2.922 7.972 O
3.370 4.149 12.808 O
3.391 4.211 19.001 O
2.914 2.805 1.625 O
2.710 2.529 10.401 O
4.999 6.451 9.035 O
1.633 0.686 20.099 O
3.818 4.515 21.571 O
2.866 2.699 16.765 O
1.678 0.286 4.276 O
3.779 3.974 5.637 O
5.004 6.292 15.359 O
5.880 7.614 13.076 O
5.985 7.561 6.711 O
5.340 6.661 17.758 O
5.364 6.279 1.902 O
4.909 4.275 10.584 O
3.350 1.683 21.395 O
5.048 4.402 16.769 O
3.413 1.276 5.563 O
3.752 1.505 12.684 O
5.372 3.885 1.694 O
3.722 1.354 18.997 O
5.357 3.943 7.966 O
7.670 6.444 5.388 O
7.069 5.267 0.592 O
7.090 5.669 16.517 O
7.685 6.546 11.668 O
5.823 3.067 12.747 O
8.020 7.018 20.387 O
4.985 1.255 1.528 O
7.076 4.910 3.034 O
8.146 6.896 14.306 O
4.966 1.159 7.785 O
7.207 5.012 9.305 O
6.011 3.115 19.023 O
5.354 1.589 16.726 O
5.429 1.532 10.410 O
6.017 2.800 21.452 O
6.014 2.425 5.572 O
9.246 6.705 3.165 O
7.671 4.148 14.147 O
7.706 4.198 20.318 O
9.362 6.611 9.347 O
8.057 3.714 5.275 O
9.667 6.772 16.512 O
9.718 6.294 0.571 O
8.163 3.773 11.514 O
7.053 0.547 15.380 O
7.736 1.449 4.315 O
7.753 1.789 20.136 O
7.281 0.502 8.966 O
9.293 4.134 16.372 O
10.145 5.375 5.363 O
8.104 1.798 6.716 O
11.393 7.776 17.799 O
8.084 1.686 13.045 O
9.303 3.495 0.465 O
11.548 7.410 1.957 O
10.391 5.568 11.695 O
10.213 5.325 20.354 O
9.726 3.907 3.054 O
9.707 3.926 9.270 O
10.373 5.177 14.126 O
12.008 6.533 6.708 O
9.315 1.891 17.949 O
12.097 6.540 13.065 O
9.338 1.379 1.991 O
```

Summary:
- Electronic total energy: -6.8995 eV per atom
- DFT formation energy: -2702 meV/atom
- Symmetry: P1